An optimized crystal structure of Ho4MgCo, computed with PBE.

ΔH_f (0 K): -0.926 eV/f.u.
crystal system: cubic
electronic total energy: -4.66 eV/atom

a b c (Å): 13.5005 13.5005 13.5005
angles (deg): 90.00 90.00 90.00
Last column: nearest neighbours and their distance in Å.
Space group F-43m (No. 216)
One atom of each set of equivalent atoms:
Ho 0.0000 0.0000 0.1860 x24  2 Co 2.76
Ho 0.0632 0.2500 0.2500 x24  2 Mg 3.27, 2 Co 3.45, 10 Ho 3.46-3.59
Ho 0.1550 0.1550 0.6550 x16  3 Co 2.77
Mg 0.0790 0.0790 0.4210 x16  3 Mg 3.02, 3 Ho 3.27
Co 0.1410 0.1410 0.8590 x16  6 Ho 2.76-2.77



An optimized crystal structure of Na8Mg2In2Si3S3O24, computed with PBE.

ΔH_f (0 K): -100.802 eV/f.u.
crystal system: triclinic
electronic total energy: -5.98 eV/atom
spin magnetization: 0.00 μB per cell

a b c (Å): 9.2079 9.2108 22.4061
angles (deg): 89.06 88.63 60.52
Last column: nearest neighbours and their distance in Å.
Space group P1 (No. 1)
One atom of each set of equivalent atoms:
Na 0.0000 0.0000 0.0000 x1  4 O 2.44-2.72
Na 0.0003 0.2676 0.5021 x1  5 O 2.39-2.66
Na 0.0064 0.6315 0.7643 x1  2 O 2.26-2.28
Na 0.0264 0.3261 0.1775 x1  5 O 2.47-2.65
Na 0.0410 0.9671 0.6673 x1  4 O 2.40-2.68
Na 0.2902 0.3101 0.6830 x1  3 O 2.24-2.45
Na 0.3120 0.9960 0.5893 x1  3 O 2.31-2.52
Na 0.3227 0.6820 0.1554 x1  3 O 2.37-2.63
Na 0.3331 0.3325 0.3318 x1  5 O 2.45-2.74
Na 0.3427 0.6088 0.8536 x1  4 O 2.38-2.61
Na 0.3541 0.6629 0.5046 x1  6 O 2.42-2.68
Na 0.3625 0.9571 0.0821 x1  3 O 2.33-2.45
Na 0.3853 0.2870 0.9926 x1  4 O 2.41-2.52
Na 0.6250 0.6579 0.0051 x1  5 O 2.41-2.68
Na 0.6487 0.3287 0.9238 x1  4 O 2.36-2.59
Na 0.6543 0.0148 0.4905 x1  3 O 2.37-2.60
Na 0.6658 0.9348 0.1673 x1  4 O 2.36-2.58
Na 0.6781 0.6708 0.6868 x1  1 O 2.27
Na 0.6927 0.9772 0.8503 x1  4 O 2.43-2.67
Na 0.6965 0.2905 0.4153 x1  3 O 2.33-2.46
Na 0.7199 0.6208 0.3246 x1  4 O 2.40-2.53
Na 0.9605 0.9917 0.3431 x1  5 O 2.41-2.63
Na 0.9729 0.3725 0.8350 x1  3 O 2.44-2.48
Na 0.9809 0.6497 0.2548 x1  4 O 2.43-2.69
Mg 0.0028 0.6572 0.9033 x1  6 O 2.00-2.23
Mg 0.3400 0.9952 0.7439 x1  3 O 1.93-2.06
Mg 0.3483 0.9858 0.2381 x1  4 O 1.95-2.17
Mg 0.6549 0.3356 0.0640 x1  5 O 1.99-2.16
Mg 0.6971 0.2996 0.5691 x1  3 O 1.94-2.06
Mg 0.9904 0.6639 0.3975 x1  5 O 2.00-2.16
In 0.0032 0.6519 0.5999 x1  5 O 2.04-2.27
In 0.3250 0.9963 0.4279 x1  4 O 2.04-2.21
In 0.3576 0.9752 0.9348 x1  4 O 2.04-2.15
In 0.6731 0.3268 0.7711 x1  6 O 2.06-2.31
In 0.6812 0.3172 0.2683 x1  5 O 2.05-2.27
In 0.9901 0.6602 0.0945 x1  4 O 2.04-2.21
Si 0.0069 0.9458 0.5009 x1  4 O 1.62-1.69
Si 0.0369 0.2894 0.3351 x1  4 O 1.63-1.67
Si 0.2979 0.6539 0.0013 x1  4 O 1.62-1.68
Si 0.3340 0.2887 0.8334 x1  4 O 1.63-1.68
Si 0.6364 0.9848 0.3347 x1  4 O 1.61-1.68
Si 0.6384 0.6860 0.8327 x1  4 O 1.64-1.67
Si 0.6694 0.6180 0.1673 x1  4 O 1.62-1.69
Si 0.7031 0.9603 0.0027 x1  4 O 1.63-1.67
Si 0.9755 0.3146 0.6649 x1  4 O 1.63-1.70
S 0.0034 0.3518 0.0024 x1  4 O 1.48-1.51
S 0.0452 0.9817 0.8337 x1  4 O 1.48-1.50
S 0.3071 0.3538 0.5029 x1  4 O 1.48-1.50
S 0.3351 0.6875 0.3363 x1  4 O 1.47-1.51
S 0.3753 0.6120 0.6653 x1  4 O 1.48-1.51
S 0.3757 0.3164 0.1697 x1  4 O 1.47-1.51
S 0.6677 0.0245 0.6668 x1  4 O 1.48-1.51
S 0.7034 0.6498 0.5028 x1  4 O 1.48-1.51
S 0.9728 0.0179 0.1692 x1  4 O 1.47-1.51
O 0.0283 0.4713 0.3416 x1  1 Si 1.65
O 0.0325 0.8279 0.8386 x1  1 S 1.48
O 0.0375 0.4191 0.0583 x1  1 S 1.51
O 0.0433 0.8347 0.5642 x1  1 Si 1.68
O 0.1003 0.1784 0.3983 x1  1 Si 1.67
O 0.1178 0.0119 0.8876 x1  1 S 1.49
O 0.1392 0.0078 0.1741 x1  1 S 1.49
O 0.1465 0.9661 0.7789 x1  1 S 1.49
O 0.1495 0.1817 0.9959 x1  1 S 1.49
O 0.1566 0.1898 0.2784 x1  1 Si 1.63
O 0.1599 0.1468 0.6714 x1  1 Si 1.65
O 0.1747 0.4766 0.8401 x1  1 Si 1.63
O 0.1811 0.9628 0.4985 x1  1 Si 1.69
O 0.1832 0.6718 0.3434 x1  1 S 1.48
O 0.1934 0.6775 0.0660 x1  1 Si 1.68
O 0.2023 0.6331 0.6645 x1  1 S 1.51
O 0.2032 0.4271 0.5585 x1  1 S 1.50
O 0.2039 0.6264 0.9463 x1  1 Si 1.62
O 0.2061 0.4672 0.1661 x1  1 S 1.50
O 0.2232 0.4553 0.4500 x1  1 S 1.48
O 0.3032 0.8324 0.9994 x1  1 Si 1.67
O 0.3036 0.2052 0.7749 x1  1 Si 1.63
O 0.3143 0.7961 0.2846 x1  1 S 1.47
O 0.3311 0.1806 0.5012 x1  1 S 1.50
O 0.3575 0.1643 0.1740 x1  1 S 1.49
O 0.3618 0.7798 0.6683 x1  1 S 1.49
O 0.3631 0.1751 0.8938 x1  1 Si 1.64
O 0.3686 0.7551 0.3922 x1  1 S 1.51
O 0.4496 0.3397 0.2258 x1  1 S 1.51
O 0.4505 0.5102 0.7196 x1  1 S 1.48
O 0.4733 0.3450 0.5083 x1  1 S 1.50
O 0.4756 0.5253 0.6108 x1  1 S 1.49
O 0.4818 0.5167 0.3306 x1  1 S 1.49
O 0.4832 0.2977 0.1176 x1  1 S 1.47
O 0.4870 0.4934 0.0047 x1  1 Si 1.64
O 0.5010 0.8037 0.1729 x1  1 Si 1.65
O 0.5110 0.9880 0.0017 x1  1 Si 1.66
O 0.5146 0.2915 0.8293 x1  1 Si 1.68
O 0.5169 0.7584 0.8921 x1  1 Si 1.64
O 0.5178 0.0035 0.6710 x1  1 S 1.49
O 0.5280 0.0161 0.3992 x1  1 Si 1.68
O 0.5357 0.8022 0.4975 x1  1 S 1.50
O 0.5454 0.7956 0.7731 x1  1 Si 1.64
O 0.5448 0.9546 0.2799 x1  1 Si 1.61
O 0.6441 0.1623 0.3311 x1  1 Si 1.67
O 0.6481 0.5195 0.1120 x1  1 Si 1.62
O 0.6496 0.1280 0.6126 x1  1 S 1.49
O 0.6683 0.4920 0.8340 x1  1 Si 1.67
O 0.6799 0.5009 0.5088 x1  1 S 1.49
O 0.6920 0.1012 0.7206 x1  1 S 1.48
O 0.6951 0.1419 0.0092 x1  1 Si 1.65
O 0.7035 0.5092 0.2306 x1  1 Si 1.67
O 0.7679 0.8469 0.0651 x1  1 Si 1.67
O 0.7758 0.6769 0.5583 x1  1 S 1.51
O 0.8145 0.6242 0.4505 x1  1 S 1.48
O 0.8197 0.6771 0.8389 x1  1 Si 1.64
O 0.8211 0.8545 0.6624 x1  1 S 1.51
O 0.8218 0.8634 0.9455 x1  1 Si 1.63
O 0.8247 0.8252 0.3392 x1  1 Si 1.63
O 0.8373 0.1308 0.5050 x1  1 Si 1.65
O 0.8456 0.3148 0.3341 x1  1 Si 1.66
O 0.8469 0.6301 0.1654 x1  1 Si 1.69
O 0.8508 0.3375 0.0097 x1  1 S 1.48
O 0.8552 0.3530 0.7247 x1  1 Si 1.65
O 0.8700 0.0887 0.2256 x1  1 S 1.51
O 0.8728 0.1285 0.8293 x1  1 S 1.50
O 0.8870 0.1211 0.1171 x1  1 S 1.47
O 0.8888 0.2929 0.6058 x1  1 Si 1.63
O 0.9817 0.4609 0.9505 x1  1 S 1.48
O 0.9856 0.8462 0.4460 x1  1 Si 1.62
O 0.9929 0.4899 0.6631 x1  1 Si 1.70
O 0.9961 0.8450 0.1673 x1  1 S 1.50